Record 1
DFT (PBE-GGA) results for a relaxed MnH36C60N12 crystal.

Results
- DFT total energy: -7.145 eV per atom
- Calculated formation energy: 0.02 eV/atom
- Space group: P-1 (2)
- ρ: 1.53 g/cm³

Cell and atoms, written as POSCAR:
```
MnH36C60N12
1.0
10.079 0.000 0.000
1.946 10.172 0.000
1.917 1.936 10.341
Mn H C N
1 36 60 12
Direct
0.000 0.000 0.000
0.022 0.007 0.728
0.036 0.732 0.961
0.043 0.100 0.444
0.054 0.422 0.162
0.063 0.150 0.741
0.089 0.195 0.307
0.114 0.728 0.086
0.127 0.442 0.011
0.176 0.014 0.757
0.191 0.773 0.939
0.193 0.150 0.027
0.195 0.019 0.144
0.199 0.071 0.370
0.208 0.348 0.123
0.281 0.003 0.997
0.461 0.927 0.809
0.468 0.055 0.072
0.473 0.806 0.935
0.527 0.194 0.065
0.532 0.945 0.928
0.539 0.073 0.191
0.719 0.997 0.003
0.792 0.652 0.877
0.801 0.929 0.630
0.805 0.981 0.856
0.807 0.850 0.973
0.809 0.227 0.061
0.824 0.986 0.243
0.873 0.558 0.989
0.886 0.272 0.914
0.911 0.805 0.693
0.937 0.850 0.259
0.946 0.578 0.838
0.957 0.900 0.556
0.964 0.268 0.039
0.978 0.993 0.272
0.139 0.541 0.585
0.152 0.608 0.455
0.176 0.397 0.616
0.180 0.598 0.683
0.203 0.533 0.352
0.206 0.733 0.420
0.226 0.324 0.516
0.232 0.719 0.648
0.238 0.364 0.733
0.239 0.393 0.382
0.241 0.488 0.774
0.246 0.788 0.514
0.288 0.611 0.252
0.290 0.735 0.294
0.340 0.215 0.530
0.348 0.735 0.704
0.350 0.258 0.747
0.354 0.503 0.827
0.362 0.327 0.314
0.370 0.846 0.487
0.401 0.183 0.643
0.407 0.548 0.185
0.408 0.628 0.792
0.411 0.791 0.268
0.424 0.217 0.405
0.433 0.813 0.604
0.445 0.403 0.217
0.452 0.848 0.366
0.466 0.274 0.801
0.468 0.395 0.842
0.532 0.605 0.158
0.534 0.726 0.199
0.548 0.152 0.634
0.555 0.597 0.783
0.567 0.187 0.396
0.576 0.783 0.595
0.589 0.209 0.732
0.592 0.372 0.208
0.593 0.452 0.815
0.599 0.817 0.357
0.630 0.154 0.513
0.638 0.673 0.686
0.646 0.497 0.173
0.650 0.742 0.253
0.652 0.265 0.296
0.660 0.785 0.470
0.710 0.265 0.706
0.712 0.389 0.748
0.754 0.212 0.486
0.759 0.512 0.226
0.761 0.607 0.618
0.762 0.636 0.267
0.768 0.281 0.352
0.774 0.676 0.484
0.794 0.267 0.580
0.797 0.467 0.648
0.820 0.402 0.317
0.824 0.603 0.384
0.848 0.392 0.545
0.861 0.459 0.415
0.074 0.050 0.779
0.098 0.781 0.996
0.099 0.097 0.355
0.114 0.372 0.094
0.192 0.049 0.046
0.453 0.908 0.907
0.547 0.092 0.093
0.808 0.951 0.954
0.886 0.628 0.906
0.901 0.903 0.645
0.902 0.219 0.004
0.926 0.950 0.221
```


Record 2
DFT (PBE-GGA) results for a relaxed BaYMg6O8 crystal.

Results
- Energy above the most stable polymorph in this dataset: 0 meV/atom
- DFT total energy: -5.931 eV per atom
- Calculated formation energy: -2.68 eV/atom
- Space group: P4/mmm (123)
- ρ: 4.03 g/cm³

Cell and atoms, written as POSCAR:
```
BaYMg6O8
1.0
4.764 0.000 0.000
0.000 4.764 0.000
0.000 0.000 9.076
Ba Y Mg O
1 1 6 8
Direct
0.000 0.000 0.000
0.500 0.500 0.000
0.000 0.000 0.500
0.000 0.500 0.278
0.000 0.500 0.722
0.500 0.000 0.278
0.500 0.000 0.722
0.500 0.500 0.500
0.000 0.000 0.284
0.000 0.000 0.716
0.000 0.500 0.000
0.000 0.500 0.500
0.500 0.000 0.000
0.500 0.000 0.500
0.500 0.500 0.261
0.500 0.500 0.739
```


Record 3
DFT (PBE-GGA) results for a relaxed AlBiCl6 crystal.

Results
- DFT total energy: -3.595 eV per atom
- Calculated formation energy: -1.71 eV/atom
- Space group: P2_1/c (14)
- ρ: 2.94 g/cm³

Cell and atoms, written as POSCAR:
```
AlBiCl6
1.0
7.885 0.000 0.000
0.000 12.135 0.000
-1.091 0.000 10.603
Al Bi Cl
4 4 24
Direct
0.003 0.227 0.221
0.003 0.273 0.721
0.997 0.727 0.279
0.997 0.773 0.779
0.310 0.037 0.850
0.310 0.463 0.350
0.690 0.537 0.650
0.690 0.963 0.150
0.000 0.130 0.052
0.000 0.370 0.552
0.000 0.630 0.448
0.000 0.870 0.948
0.021 0.600 0.821
0.021 0.900 0.321
0.205 0.660 0.184
0.205 0.840 0.684
0.246 0.215 0.335
0.246 0.285 0.835
0.488 0.634 0.460
0.488 0.866 0.960
0.492 0.567 0.808
0.492 0.933 0.308
0.508 0.067 0.692
0.508 0.433 0.192
0.512 0.134 0.040
0.512 0.366 0.540
0.754 0.715 0.165
0.754 0.785 0.665
0.795 0.160 0.316
0.795 0.340 0.816
0.979 0.100 0.679
0.979 0.400 0.179
```


Record 4
DFT (PBE-GGA) results for a relaxed NaCa2Hf2PS5O24 crystal.

Results
- DFT total energy: -7.012 eV per atom
- Calculated formation energy: -2.62 eV/atom
- Space group: P1 (1)
- ρ: 3.09 g/cm³

Cell and atoms, written as POSCAR:
```
NaCa2Hf2PS5O24
1.0
9.046 0.000 0.000
-4.517 7.843 0.000
-0.010 -0.010 23.554
Na Ca Hf P S O
3 6 6 3 15 72
Direct
0.000 0.000 0.000
0.020 0.003 0.494
0.672 0.340 0.666
0.006 0.000 0.144
0.008 0.001 0.341
0.012 0.002 0.635
0.344 0.671 0.970
0.672 0.330 0.809
0.673 0.335 0.304
0.001 0.001 0.849
0.332 0.659 0.681
0.333 0.661 0.473
0.341 0.668 0.178
0.675 0.342 0.517
0.676 0.328 0.014
0.051 0.658 0.576
0.349 0.387 0.576
0.688 0.051 0.910
0.013 0.294 0.742
0.018 0.704 0.242
0.044 0.378 0.074
0.294 0.992 0.742
0.303 0.308 0.242
0.347 0.965 0.075
0.374 0.317 0.911
0.383 0.042 0.416
0.618 0.957 0.576
0.630 0.658 0.075
0.674 0.629 0.415
0.700 0.991 0.242
0.712 0.716 0.742
0.955 0.633 0.911
0.963 0.332 0.415
0.012 0.203 0.081
0.027 0.812 0.576
0.035 0.209 0.794
0.057 0.809 0.293
0.125 0.660 0.920
0.129 0.485 0.126
0.137 0.487 0.425
0.140 0.640 0.631
0.147 0.455 0.024
0.161 0.672 0.524
0.176 0.690 0.228
0.178 0.463 0.736
0.188 0.971 0.794
0.191 0.213 0.576
0.198 0.241 0.293
0.203 0.150 0.904
0.205 0.998 0.082
0.213 0.025 0.416
0.216 0.018 0.691
0.224 0.199 0.192
0.304 0.831 0.735
0.317 0.480 0.229
0.317 0.861 0.025
0.338 0.453 0.921
0.341 0.487 0.524
0.367 0.871 0.427
0.370 0.495 0.631
0.371 0.881 0.126
0.461 0.290 0.962
0.469 0.137 0.747
0.472 0.345 0.859
0.476 0.338 0.250
0.478 0.111 0.364
0.481 0.156 0.466
0.510 0.135 0.068
0.515 0.371 0.571
0.516 0.875 0.628
0.521 0.649 0.426
0.522 0.635 0.126
0.528 0.832 0.229
0.530 0.855 0.525
0.543 0.710 0.735
0.548 0.874 0.921
0.553 0.685 0.025
0.632 0.130 0.572
0.637 0.495 0.067
0.645 0.532 0.364
0.667 0.129 0.857
0.669 0.132 0.250
0.682 0.541 0.748
0.690 0.531 0.466
0.718 0.174 0.963
0.768 0.953 0.293
0.788 0.976 0.578
0.799 0.823 0.794
0.805 0.802 0.081
0.808 0.020 0.192
0.816 0.793 0.691
0.828 0.797 0.416
0.841 0.548 0.962
0.853 0.320 0.466
0.863 0.044 0.903
0.872 0.490 0.571
0.873 0.329 0.748
0.874 0.373 0.068
0.876 0.531 0.250
0.882 0.538 0.859
0.895 0.359 0.364
0.967 0.808 0.905
0.981 0.180 0.416
0.987 0.191 0.692
0.987 0.782 0.192
```


Record 5
DFT (PBE-GGA) results for a relaxed Cs4SiTe4 crystal.

Results
- DFT total energy: -3.256 eV per atom
- Calculated formation energy: -1.05 eV/atom
- Space group: P-43n (218)
- ρ: 3.91 g/cm³

Cell and atoms, written as POSCAR:
```
Cs4SiTe4
1.0
15.372 0.000 0.000
0.000 15.372 0.000
0.000 0.000 15.372
Cs Si Te
32 8 32
Direct
0.088 0.133 0.649
0.088 0.867 0.351
0.133 0.351 0.912
0.133 0.649 0.088
0.149 0.367 0.412
0.149 0.633 0.588
0.150 0.150 0.150
0.150 0.850 0.850
0.350 0.350 0.650
0.350 0.650 0.350
0.351 0.088 0.867
0.351 0.912 0.133
0.367 0.412 0.149
0.367 0.588 0.851
0.412 0.149 0.367
0.412 0.851 0.633
0.588 0.149 0.633
0.588 0.851 0.367
0.633 0.412 0.851
0.633 0.588 0.149
0.649 0.088 0.133
0.649 0.912 0.867
0.650 0.350 0.350
0.650 0.650 0.650
0.850 0.150 0.850
0.850 0.850 0.150
0.851 0.367 0.588
0.851 0.633 0.412
0.867 0.351 0.088
0.867 0.649 0.912
0.912 0.133 0.351
0.912 0.867 0.649
0.000 0.000 0.000
0.000 0.500 0.250
0.000 0.500 0.750
0.250 0.000 0.500
0.500 0.250 0.000
0.500 0.500 0.500
0.500 0.750 0.000
0.750 0.000 0.500
0.092 0.395 0.659
0.092 0.605 0.341
0.096 0.096 0.904
0.096 0.904 0.096
0.105 0.408 0.159
0.105 0.592 0.841
0.159 0.105 0.408
0.159 0.895 0.592
0.341 0.092 0.605
0.341 0.908 0.395
0.395 0.341 0.908
0.395 0.659 0.092
0.404 0.404 0.404
0.404 0.596 0.596
0.408 0.159 0.105
0.408 0.841 0.895
0.592 0.159 0.895
0.592 0.841 0.105
0.596 0.404 0.596
0.596 0.596 0.404
0.605 0.341 0.092
0.605 0.659 0.908
0.659 0.092 0.395
0.659 0.908 0.605
0.841 0.105 0.592
0.841 0.895 0.408
0.895 0.408 0.841
0.895 0.592 0.159
0.904 0.096 0.096
0.904 0.904 0.904
0.908 0.395 0.341
0.908 0.605 0.659
```


Record 6
DFT (PBE-GGA) results for a relaxed Tb14Ti10O41 crystal.

Results
- DFT total energy: -8.643 eV per atom
- Calculated formation energy: -3.74 eV/atom
- Space group: Cm (8)
- ρ: 6.83 g/cm³

Cell and atoms, written as POSCAR:
```
Tb14Ti10O41
1.0
6.310 -3.659 0.000
6.310 3.659 0.000
-0.224 0.000 17.695
Tb Ti O
14 10 41
Direct
0.000 0.000 0.000
0.016 0.016 0.477
0.016 0.507 0.498
0.172 0.172 0.161
0.172 0.673 0.164
0.188 0.188 0.666
0.339 0.339 0.330
0.340 0.855 0.840
0.500 0.500 0.506
0.507 0.016 0.498
0.650 0.650 0.674
0.673 0.172 0.164
0.837 0.837 0.831
0.855 0.340 0.840
0.007 0.507 0.000
0.160 0.691 0.662
0.336 0.336 0.830
0.352 0.832 0.328
0.506 0.506 0.998
0.507 0.007 0.000
0.674 0.674 0.162
0.691 0.160 0.662
0.832 0.352 0.328
0.835 0.835 0.330
0.004 0.004 0.124
0.050 0.492 0.892
0.130 0.130 0.322
0.131 0.756 0.317
0.156 0.731 0.556
0.168 0.168 0.541
0.186 0.186 0.795
0.188 0.560 0.764
0.202 0.202 0.027
0.203 0.608 0.028
0.287 0.847 0.702
0.339 0.339 0.205
0.347 0.347 0.455
0.371 0.817 0.447
0.387 0.817 0.218
0.397 0.806 0.974
0.466 0.466 0.637
0.468 0.468 0.889
0.492 0.050 0.892
0.529 0.529 0.335
0.529 0.962 0.343
0.534 0.980 0.625
0.537 0.941 0.109
0.538 0.538 0.107
0.560 0.188 0.764
0.608 0.203 0.028
0.668 0.668 0.794
0.731 0.156 0.556
0.756 0.131 0.317
0.806 0.397 0.974
0.808 0.808 0.980
0.813 0.813 0.219
0.817 0.371 0.447
0.817 0.387 0.218
0.838 0.838 0.444
0.847 0.287 0.702
0.892 0.892 0.703
0.941 0.537 0.109
0.962 0.529 0.343
0.980 0.534 0.625
0.999 0.999 0.876
```